(1)
Entry from the Materials Project: an optimized crystal structure of Na2Sr6ZnFe6F34 (PBE with a Hubbard U).

CIF file:
```
data_Na2Sr6ZnFe6F34
_chemical_formula_sum 'Na4 Sr12 Zn2 Fe12 F68'
_cell_length_a 9.9532
_cell_length_b 9.9655
_cell_length_c 15.2330
_cell_angle_alpha 80.38
_cell_angle_beta 80.23
_cell_angle_gamma 68.78
_symmetry_space_group_name_H-M 'P 1'
_symmetry_Int_Tables_number 1
loop_
_symmetry_equiv_pos_as_xyz
'x,y,z'
loop_
_atom_site_label
_atom_site_fract_x
_atom_site_fract_y
_atom_site_fract_z
Na1 0.0000 0.0000 0.0000
Na2 0.0160 0.9726 0.5006
Na3 0.7723 0.7155 0.4717
Na4 0.9459 0.3460 0.8536
Sr1 0.0478 0.6428 0.1539
Sr2 0.0528 0.6303 0.6581
Sr3 0.2439 0.2292 0.0524
Sr4 0.2608 0.2172 0.5524
Sr5 0.3501 0.9400 0.8494
Sr6 0.3621 0.9346 0.3489
Sr7 0.5132 0.4775 0.9963
Sr8 0.5133 0.4826 0.5020
Sr9 0.6630 0.0270 0.1538
Sr10 0.6689 0.0203 0.6488
Sr11 0.7752 0.7333 0.9481
Sr12 0.9682 0.3287 0.3503
Zn1 0.0249 0.9670 0.7511
Zn2 0.9983 0.9948 0.2517
Fe1 0.1408 0.6341 0.4004
Fe2 0.1651 0.6151 0.9062
Fe3 0.3441 0.3114 0.7719
Fe4 0.3438 0.3304 0.2697
Fe5 0.3595 0.8437 0.1036
Fe6 0.3784 0.8263 0.5938
Fe7 0.6477 0.1370 0.4047
Fe8 0.6592 0.1197 0.8983
Fe9 0.6675 0.6475 0.2325
Fe10 0.6779 0.6420 0.7328
Fe11 0.8576 0.3480 0.0944
Fe12 0.8759 0.3281 0.6057
F1 0.0012 0.2190 0.5087
F2 0.0014 0.5376 0.4064
F3 0.0058 0.2303 0.0099
F4 0.0164 0.7423 0.9883
F5 0.0201 0.7378 0.4981
F6 0.0254 0.4189 0.5957
F7 0.0311 0.5175 0.9110
F8 0.0312 0.7842 0.3078
F9 0.0707 0.0525 0.3520
F10 0.0849 0.0230 0.8530
F11 0.0872 0.7374 0.7966
F12 0.1434 0.3878 0.7506
F13 0.1663 0.3642 0.2146
F14 0.2136 0.9623 0.1941
F15 0.2433 0.2506 0.3792
F16 0.2474 0.4835 0.0138
F17 0.2472 0.9749 0.0110
F18 0.2509 0.5335 0.2939
F19 0.2531 0.9770 0.5110
F20 0.2543 0.9110 0.7008
F21 0.2613 0.4757 0.4813
F22 0.2609 0.7100 0.1094
F23 0.2702 0.7010 0.5918
F24 0.2791 0.7302 0.3952
F25 0.2886 0.2052 0.8848
F26 0.2960 0.7146 0.9123
F27 0.3240 0.4768 0.8341
F28 0.3796 0.1372 0.7144
F29 0.3869 0.4018 0.6539
F30 0.4162 0.1323 0.2371
F31 0.4325 0.3802 0.1534
F32 0.4534 0.9884 0.0966
F33 0.4634 0.7334 0.2063
F34 0.4794 0.9606 0.5888
F35 0.5034 0.2260 0.9874
F36 0.5071 0.7453 0.4884
F37 0.5097 0.2997 0.3326
F38 0.5124 0.7336 0.0170
F39 0.5136 0.6679 0.6676
F40 0.5182 0.2205 0.5137
F41 0.5295 0.0236 0.4056
F42 0.5530 0.2208 0.7934
F43 0.5706 0.9693 0.9069
F44 0.5877 0.8442 0.7589
F45 0.5890 0.5913 0.8481
F46 0.6072 0.5676 0.3478
F47 0.6264 0.8326 0.2773
F48 0.7029 0.4738 0.1750
F49 0.7311 0.2398 0.6136
F50 0.7327 0.2408 0.0903
F51 0.7440 0.2633 0.8947
F52 0.7462 0.2709 0.4106
F53 0.7504 0.7430 0.1207
F54 0.7635 0.4853 0.9943
F55 0.7651 0.4793 0.5201
F56 0.7681 0.9922 0.9946
F57 0.7702 0.0657 0.2935
F58 0.7711 0.9919 0.4862
F59 0.7744 0.4392 0.7085
F60 0.7798 0.7221 0.6264
F61 0.8104 0.9978 0.8119
F62 0.8445 0.6256 0.7917
F63 0.8661 0.5671 0.2613
F64 0.9400 0.9246 0.1492
F65 0.9504 0.9097 0.6518
F66 0.9537 0.2194 0.1982
F67 0.9838 0.4566 0.0915
F68 0.9964 0.1728 0.6873
```

Summary:
**Crystal system**: triclinic
**Total DFT energy (no corrections)**: -5.32 eV per atom

---

(2)
Entry from the Materials Project: an optimized crystal structure of Na3U6FeF30 (PBE with a Hubbard U).

CIF file:
```
data_Na3U6FeF30
_chemical_formula_sum 'Na6 U12 Fe2 F60'
_cell_length_a 9.8840
_cell_length_b 9.8840
_cell_length_c 13.0992
_cell_angle_alpha 90.00
_cell_angle_beta 90.00
_cell_angle_gamma 59.96
_symmetry_space_group_name_H-M 'P 1'
_symmetry_Int_Tables_number 1
loop_
_symmetry_equiv_pos_as_xyz
'x,y,z'
loop_
_atom_site_label
_atom_site_fract_x
_atom_site_fract_y
_atom_site_fract_z
Na1 0.0000 0.0000 0.0000
Na2 0.0000 0.0000 0.5000
Na3 0.3333 0.3336 0.6605
Na4 0.3336 0.3333 0.1605
Na5 0.6664 0.6667 0.8395
Na6 0.6667 0.6664 0.3395
U1 0.0764 0.3226 0.8976
U2 0.0763 0.6014 0.3976
U3 0.3222 0.6012 0.8976
U4 0.3226 0.0764 0.3976
U5 0.3988 0.6778 0.6024
U6 0.3986 0.9237 0.1024
U7 0.6014 0.0763 0.8976
U8 0.6012 0.3222 0.3976
U9 0.6774 0.9236 0.6024
U10 0.6778 0.3988 0.1024
U11 0.9237 0.3986 0.6024
U12 0.9236 0.6774 0.1024
Fe1 0.9997 0.0003 0.2500
Fe2 0.0003 0.9997 0.7500
F1 0.0828 0.1067 0.8420
F2 0.0825 0.8104 0.3426
F3 0.1064 0.8100 0.8423
F4 0.1067 0.0828 0.3420
F5 0.1162 0.6887 0.0197
F6 0.1166 0.1952 0.5196
F7 0.1193 0.4120 0.0498
F8 0.1193 0.4688 0.5496
F9 0.1305 0.3065 0.7150
F10 0.1306 0.5634 0.2149
F11 0.1733 0.3395 0.3633
F12 0.1732 0.4873 0.8634
F13 0.1900 0.8936 0.6577
F14 0.1896 0.9175 0.1574
F15 0.1952 0.1166 0.0196
F16 0.1951 0.6888 0.5198
F17 0.3065 0.1305 0.2150
F18 0.3062 0.5635 0.7150
F19 0.3112 0.8049 0.9802
F20 0.3113 0.8838 0.4803
F21 0.3395 0.1733 0.8633
F22 0.3394 0.4874 0.3633
F23 0.4120 0.1193 0.5498
F24 0.4119 0.4689 0.0497
F25 0.4365 0.6938 0.7850
F26 0.4366 0.8694 0.2851
F27 0.4688 0.1193 0.0496
F28 0.4689 0.4119 0.5497
F29 0.4873 0.1732 0.3634
F30 0.4874 0.3394 0.8633
F31 0.5126 0.6606 0.1367
F32 0.5127 0.8268 0.6366
F33 0.5311 0.5881 0.4503
F34 0.5312 0.8807 0.9504
F35 0.5634 0.1306 0.7149
F36 0.5635 0.3062 0.2150
F37 0.5881 0.5311 0.9503
F38 0.5880 0.8807 0.4502
F39 0.6606 0.5126 0.6367
F40 0.6605 0.8267 0.1367
F41 0.6887 0.1162 0.5197
F42 0.6888 0.1951 0.0198
F43 0.6938 0.4365 0.2850
F44 0.6935 0.8695 0.7850
F45 0.8049 0.3112 0.4802
F46 0.8048 0.8834 0.9804
F47 0.8104 0.0825 0.8426
F48 0.8100 0.1064 0.3423
F49 0.8268 0.5127 0.1366
F50 0.8267 0.6605 0.6367
F51 0.8694 0.4366 0.7851
F52 0.8695 0.6935 0.2850
F53 0.8807 0.5312 0.4504
F54 0.8807 0.5880 0.9502
F55 0.8834 0.8048 0.4804
F56 0.8838 0.3113 0.9803
F57 0.8933 0.9172 0.6580
F58 0.8936 0.1900 0.1577
F59 0.9175 0.1896 0.6574
F60 0.9172 0.8933 0.1580
```

Summary:
**Crystal system**: monoclinic
**Total DFT energy (no corrections)**: -6.70 eV per atom

---

(3)
Entry from the Materials Project: an optimized crystal structure of Na2VFeF7 (PBE with a Hubbard U).

CIF file:
```
data_Na2VFeF7
_chemical_formula_sum 'Na16 V8 Fe8 F56'
_cell_length_a 7.4985
_cell_length_b 7.4985
_cell_length_c 25.0307
_cell_angle_alpha 98.53
_cell_angle_beta 98.53
_cell_angle_gamma 60.29
_symmetry_space_group_name_H-M 'P 1'
_symmetry_Int_Tables_number 1
loop_
_symmetry_equiv_pos_as_xyz
'x,y,z'
loop_
_atom_site_label
_atom_site_fract_x
_atom_site_fract_y
_atom_site_fract_z
Na1 0.0000 0.0000 0.0000
Na2 0.0000 0.0000 0.5000
Na3 0.0000 0.5000 0.0000
Na4 0.1159 0.1350 0.8783
Na5 0.1350 0.1159 0.3783
Na6 0.2122 0.2931 0.7526
Na7 0.2173 0.7827 0.7500
Na8 0.2931 0.2122 0.2526
Na9 0.5000 0.0000 0.5000
Na10 0.5000 0.5000 0.0000
Na11 0.5000 0.5000 0.5000
Na12 0.7069 0.7878 0.7474
Na13 0.7827 0.2173 0.2500
Na14 0.7878 0.7069 0.2474
Na15 0.8650 0.8841 0.6217
Na16 0.8841 0.8650 0.1217
V1 0.0000 0.5000 0.5000
V2 0.1125 0.6346 0.8738
V3 0.2444 0.7556 0.2500
V4 0.3654 0.8875 0.6262
V5 0.5000 0.0000 0.0000
V6 0.6346 0.1125 0.3738
V7 0.7556 0.2444 0.7500
V8 0.8875 0.3654 0.1262
Fe1 0.1325 0.6135 0.3737
Fe2 0.3705 0.3847 0.6282
Fe3 0.3847 0.3705 0.1282
Fe4 0.3865 0.8675 0.1263
Fe5 0.6135 0.1325 0.8737
Fe6 0.6153 0.6295 0.8718
Fe7 0.6295 0.6153 0.3718
Fe8 0.8675 0.3865 0.6263
F1 0.0272 0.1357 0.7908
F2 0.0289 0.6384 0.7956
F3 0.0658 0.0729 0.6087
F4 0.0722 0.4654 0.1094
F5 0.0729 0.0658 0.1087
F6 0.0926 0.4657 0.6559
F7 0.1299 0.2052 0.4677
F8 0.1314 0.6396 0.2928
F9 0.1357 0.0272 0.2908
F10 0.1388 0.5810 0.4550
F11 0.1906 0.6337 0.9531
F12 0.2052 0.1299 0.9677
F13 0.2592 0.4135 0.5463
F14 0.2705 0.6998 0.6433
F15 0.3000 0.3352 0.8575
F16 0.3002 0.7295 0.8567
F17 0.3025 0.6448 0.0980
F18 0.3352 0.3000 0.3575
F19 0.3552 0.6975 0.4020
F20 0.3604 0.8686 0.2072
F21 0.3616 0.9711 0.7044
F22 0.3630 0.4754 0.2100
F23 0.3663 0.8094 0.5469
F24 0.4135 0.2592 0.0463
F25 0.4190 0.8612 0.0449
F26 0.4654 0.0722 0.6094
F27 0.4657 0.0926 0.1559
F28 0.4754 0.3630 0.7100
F29 0.5246 0.6370 0.2900
F30 0.5343 0.9074 0.8441
F31 0.5346 0.9278 0.3906
F32 0.5810 0.1388 0.9550
F33 0.5865 0.7408 0.9537
F34 0.6337 0.1906 0.4531
F35 0.6370 0.5246 0.7900
F36 0.6384 0.0289 0.2956
F37 0.6396 0.1314 0.7928
F38 0.6448 0.3025 0.5980
F39 0.6648 0.7000 0.6425
F40 0.6975 0.3552 0.9020
F41 0.6998 0.2705 0.1433
F42 0.7000 0.6648 0.1425
F43 0.7295 0.3002 0.3567
F44 0.7408 0.5865 0.4537
F45 0.7948 0.8701 0.0323
F46 0.8094 0.3663 0.0469
F47 0.8612 0.4190 0.5450
F48 0.8643 0.9728 0.7092
F49 0.8686 0.3604 0.7072
F50 0.8701 0.7948 0.5323
F51 0.9074 0.5343 0.3441
F52 0.9271 0.9342 0.8913
F53 0.9278 0.5346 0.8906
F54 0.9342 0.9271 0.3913
F55 0.9711 0.3616 0.2044
F56 0.9728 0.8643 0.2092
```

Summary:
**Crystal system**: monoclinic
**Total DFT energy (no corrections)**: -5.36 eV per atom

---

(4)
Entry from the Materials Project: an optimized crystal structure of Na2ZnFeF7 (PBE with a Hubbard U).

CIF file:
```
data_Na2ZnFeF7
_chemical_formula_sum 'Na16 Zn8 Fe8 F56'
_cell_length_a 7.4129
_cell_length_b 7.4129
_cell_length_c 24.9282
_cell_angle_alpha 98.23
_cell_angle_beta 98.23
_cell_angle_gamma 60.56
_symmetry_space_group_name_H-M 'P 1'
_symmetry_Int_Tables_number 1
loop_
_symmetry_equiv_pos_as_xyz
'x,y,z'
loop_
_atom_site_label
_atom_site_fract_x
_atom_site_fract_y
_atom_site_fract_z
Na1 0.0000 0.0000 0.0000
Na2 0.0000 0.0000 0.5000
Na3 0.0000 0.5000 0.0000
Na4 0.1129 0.1387 0.8784
Na5 0.1386 0.1129 0.3784
Na6 0.2035 0.3006 0.7485
Na7 0.2136 0.7864 0.7500
Na8 0.3006 0.2035 0.2485
Na9 0.5000 0.0000 0.5000
Na10 0.5000 0.5000 0.0000
Na11 0.5000 0.5000 0.5000
Na12 0.6994 0.7965 0.7515
Na13 0.7864 0.2136 0.2500
Na14 0.7965 0.6994 0.2515
Na15 0.8614 0.8871 0.6216
Na16 0.8871 0.8613 0.1216
Zn1 0.1346 0.6133 0.3745
Zn2 0.3692 0.3858 0.6280
Zn3 0.3858 0.3692 0.1280
Zn4 0.3867 0.8654 0.1255
Zn5 0.6133 0.1346 0.8745
Zn6 0.6142 0.6308 0.8720
Zn7 0.6308 0.6142 0.3720
Zn8 0.8654 0.3867 0.6255
Fe1 0.0000 0.5000 0.5000
Fe2 0.1117 0.6364 0.8748
Fe3 0.2471 0.7529 0.2500
Fe4 0.3636 0.8883 0.6252
Fe5 0.5000 0.0000 0.0000
Fe6 0.6364 0.1117 0.3748
Fe7 0.7529 0.2471 0.7500
Fe8 0.8883 0.3636 0.1252
F1 0.0260 0.1391 0.7905
F2 0.0304 0.6395 0.7957
F3 0.0659 0.0738 0.6088
F4 0.0738 0.0659 0.1088
F5 0.0754 0.4618 0.1099
F6 0.0947 0.4564 0.6539
F7 0.1335 0.2064 0.4682
F8 0.1364 0.5832 0.4548
F9 0.1382 0.6382 0.2942
F10 0.1391 0.0260 0.2905
F11 0.1858 0.6363 0.9545
F12 0.2064 0.1335 0.9682
F13 0.2552 0.4210 0.5474
F14 0.2702 0.6985 0.6416
F15 0.3015 0.7298 0.8584
F16 0.3015 0.3391 0.8600
F17 0.3068 0.6421 0.1000
F18 0.3391 0.3015 0.3600
F19 0.3579 0.6932 0.4000
F20 0.3605 0.9696 0.7043
F21 0.3621 0.4743 0.2096
F22 0.3618 0.8618 0.2058
F23 0.3637 0.8142 0.5455
F24 0.4168 0.8636 0.0452
F25 0.4210 0.2552 0.0474
F26 0.4564 0.0947 0.1539
F27 0.4618 0.0754 0.6099
F28 0.4743 0.3621 0.7096
F29 0.5257 0.6379 0.2904
F30 0.5382 0.9246 0.3901
F31 0.5436 0.9053 0.8461
F32 0.5790 0.7448 0.9526
F33 0.5832 0.1364 0.9548
F34 0.6363 0.1858 0.4545
F35 0.6382 0.1382 0.7942
F36 0.6379 0.5257 0.7904
F37 0.6395 0.0304 0.2957
F38 0.6421 0.3068 0.6000
F39 0.6609 0.6985 0.6400
F40 0.6932 0.3579 0.9000
F41 0.6985 0.6609 0.1400
F42 0.6985 0.2702 0.1416
F43 0.7298 0.3015 0.3584
F44 0.7448 0.5790 0.4526
F45 0.7936 0.8665 0.0318
F46 0.8142 0.3637 0.0455
F47 0.8609 0.9740 0.7095
F48 0.8618 0.3618 0.7058
F49 0.8635 0.4168 0.5452
F50 0.8665 0.7936 0.5318
F51 0.9053 0.5436 0.3461
F52 0.9246 0.5382 0.8901
F53 0.9262 0.9341 0.8912
F54 0.9341 0.9262 0.3912
F55 0.9696 0.3605 0.2043
F56 0.9740 0.8609 0.2095
```

Summary:
**Crystal system**: monoclinic
**Total DFT energy (no corrections)**: -4.63 eV per atom

---

(5)
Entry from the Materials Project: an optimized crystal structure of NaZr2FeF11 (PBE with a Hubbard U).

CIF file:
```
data_NaZr2FeF11
_chemical_formula_sum 'Na1 Zr2 Fe1 F11'
_cell_length_a 5.7771
_cell_length_b 5.7771
_cell_length_c 7.9371
_cell_angle_alpha 110.88
_cell_angle_beta 110.88
_cell_angle_gamma 73.06
_symmetry_space_group_name_H-M 'P 1'
_symmetry_Int_Tables_number 1
loop_
_symmetry_equiv_pos_as_xyz
'x,y,z'
loop_
_atom_site_label
_atom_site_fract_x
_atom_site_fract_y
_atom_site_fract_z
Na1 0.0000 0.0000 0.0000
Zr1 0.4954 0.4954 0.7650
Zr2 0.5046 0.5046 0.2350
Fe1 0.0000 0.0000 0.5000
F1 0.1935 0.7770 0.6916
F2 0.2230 0.8065 0.3084
F3 0.2469 0.2469 0.6477
F4 0.2665 0.2665 0.1089
F5 0.3302 0.6698 0.0000
F6 0.5000 0.5000 0.5000
F7 0.6698 0.3302 0.0000
F8 0.7335 0.7335 0.8911
F9 0.7531 0.7531 0.3523
F10 0.7770 0.1935 0.6916
F11 0.8065 0.2230 0.3084
```

Summary:
**Crystal system**: monoclinic
**Total DFT energy (no corrections)**: -6.35 eV per atom

---

(6)
Entry from the Materials Project: an optimized crystal structure of NbFeF6 (PBE with a Hubbard U).

CIF file:
```
data_NbFeF6
_chemical_formula_sum 'Nb1 Fe1 F6'
_cell_length_a 5.7397
_cell_length_b 5.7397
_cell_length_c 5.7397
_cell_angle_alpha 57.25
_cell_angle_beta 57.25
_cell_angle_gamma 57.25
_symmetry_space_group_name_H-M 'P 1'
_symmetry_Int_Tables_number 1
loop_
_symmetry_equiv_pos_as_xyz
'x,y,z'
loop_
_atom_site_label
_atom_site_fract_x
_atom_site_fract_y
_atom_site_fract_z
Nb1 0.0000 0.0000 0.0000
Fe1 0.5000 0.5000 0.5000
F1 0.1582 0.7561 0.3326
F2 0.2439 0.6674 0.8418
F3 0.3326 0.1582 0.7561
F4 0.6674 0.8418 0.2439
F5 0.7561 0.3326 0.1582
F6 0.8418 0.2439 0.6674
```

Summary:
**Crystal system**: trigonal
**Total DFT energy (no corrections)**: -6.11 eV per atom

---

(7)
Entry from the Materials Project: an optimized crystal structure of Fe5O8F2 (PBE with a Hubbard U).

CIF file:
```
data_Fe5O8F2
_chemical_formula_sum 'Fe10 O16 F4'
_cell_length_a 4.6521
_cell_length_b 7.6050
_cell_length_c 9.7785
_cell_angle_alpha 70.07
_cell_angle_beta 88.56
_cell_angle_gamma 88.77
_symmetry_space_group_name_H-M 'P 1'
_symmetry_Int_Tables_number 1
loop_
_symmetry_equiv_pos_as_xyz
'x,y,z'
loop_
_atom_site_label
_atom_site_fract_x
_atom_site_fract_y
_atom_site_fract_z
Fe1 0.0000 0.0000 0.0000
Fe2 0.0007 0.8212 0.5956
Fe3 0.0056 0.6014 0.2016
Fe4 0.0187 0.2002 0.3919
Fe5 0.4615 0.5127 0.4889
Fe6 0.4701 0.6975 0.8879
Fe7 0.4882 0.1026 0.7075
Fe8 0.5037 0.9038 0.2918
Fe9 0.5287 0.3117 0.1045
Fe10 0.9910 0.4033 0.7941
O1 0.1720 0.6414 0.7666
O2 0.1850 0.4400 0.3724
O3 0.1850 0.8378 0.1727
O4 0.1949 0.0590 0.5693
O5 0.2957 0.9358 0.8818
O6 0.2983 0.3465 0.6749
O7 0.2994 0.7543 0.4688
O8 0.3027 0.5412 0.0743
O9 0.3231 0.1414 0.2688
O10 0.6834 0.8648 0.7216
O11 0.6887 0.6670 0.3156
O12 0.6923 0.4652 0.9195
O13 0.7020 0.0673 0.1182
O14 0.8091 0.1656 0.8243
O15 0.8128 0.9765 0.4187
O16 0.8209 0.3663 0.2265
F1 0.2034 0.2440 0.9773
F2 0.6926 0.2724 0.5209
F3 0.7886 0.5664 0.6112
F4 0.7982 0.7560 0.0212
```

Summary:
**Crystal system**: triclinic
**Total DFT energy (no corrections)**: -6.11 eV per atom
**Excess energy over the best structure of this formula in the dataset**: 0.011 eV per atom